Run A
Material: NaLaMg14O16
Method: DFT, PBE
State: relaxed

- SG = Pmmm, No. 47
- total magnetic moment (μB per formula unit) = 0.00

Cell: 4.400 8.704 8.832 Å, 90.00 90.00 90.00°
Sites, in units of the cell vectors:
Na 0.000 0.000 0.000
La 0.000 0.000 0.500
Mg 0.000 0.257 0.237
Mg 0.000 0.257 0.763
Mg 0.000 0.500 0.000
Mg 0.000 0.500 0.500
Mg 0.000 0.743 0.237
Mg 0.000 0.743 0.763
Mg 0.500 0.000 0.227
Mg 0.500 0.000 0.773
Mg 0.500 0.249 0.000
Mg 0.500 0.267 0.500
Mg 0.500 0.500 0.246
Mg 0.500 0.500 0.754
Mg 0.500 0.733 0.500
Mg 0.500 0.751 0.000
O 0.000 0.000 0.242
O 0.000 0.000 0.758
O 0.000 0.268 0.000
O 0.000 0.271 0.500
O 0.000 0.500 0.250
O 0.000 0.500 0.750
O 0.000 0.729 0.500
O 0.000 0.732 0.000
O 0.500 0.000 0.000
O 0.500 0.000 0.500
O 0.500 0.250 0.252
O 0.500 0.250 0.748
O 0.500 0.500 0.000
O 0.500 0.500 0.500
O 0.500 0.750 0.252
O 0.500 0.750 0.748



Run B
Material: NaLaMg14O16
Method: DFT, PBE
State: relaxed

- SG = P4/mmm, No. 123
- total magnetic moment (μB per formula unit) = 0.01

Cell: 8.743 8.743 4.413 Å, 90.00 90.00 90.00°
Sites, in units of the cell vectors:
Na 0.000 0.000 0.000
La 0.500 0.500 0.000
Mg 0.000 0.244 0.500
Mg 0.000 0.500 0.000
Mg 0.000 0.756 0.500
Mg 0.231 0.500 0.500
Mg 0.237 0.237 0.000
Mg 0.237 0.763 0.000
Mg 0.244 0.000 0.500
Mg 0.500 0.000 0.000
Mg 0.500 0.231 0.500
Mg 0.500 0.769 0.500
Mg 0.756 0.000 0.500
Mg 0.763 0.237 0.000
Mg 0.763 0.763 0.000
Mg 0.769 0.500 0.500
O 0.000 0.000 0.500
O 0.000 0.262 0.000
O 0.000 0.500 0.500
O 0.000 0.738 0.000
O 0.233 0.500 0.000
O 0.252 0.252 0.500
O 0.252 0.748 0.500
O 0.262 0.000 0.000
O 0.500 0.000 0.500
O 0.500 0.233 0.000
O 0.500 0.500 0.500
O 0.500 0.767 0.000
O 0.738 0.000 0.000
O 0.748 0.252 0.500
O 0.748 0.748 0.500
O 0.767 0.500 0.000



Energy above the most stable structure, in eV/atom: run A 0.010; run B 0.000